<i>
## MgV4Pb2O12 (PBE with a Hubbard U)

Data for an optimized crystal structure of MgV4Pb2O12.

```
MgV4Pb2O12
1.0
8.6511 -1.7829 0.0000
8.6511 1.7829 0.0000
-2.6168 0.0000 9.5447
Mg V Pb O
1 4 2 12
Direct
0.0000 0.0000 0.0000
0.1638 0.1638 0.6470
0.4033 0.4033 0.1537
0.5967 0.5967 0.8463
0.8362 0.8362 0.3530
0.1444 0.1444 0.2566
0.8556 0.8556 0.7434
0.0882 0.0882 0.7663
0.1111 0.1111 0.4796
0.2666 0.2666 0.6483
0.3290 0.3290 0.2864
0.3522 0.3522 0.9826
0.4890 0.4890 0.8620
0.5110 0.5110 0.1380
0.6478 0.6478 0.0174
0.6710 0.6710 0.7136
0.7334 0.7334 0.3517
0.8889 0.8889 0.5204
0.9118 0.9118 0.2337
```

**M_tot**: 2.015 Bohr magnetons per cell

<ii>
## MgV4Pb2O12 (PBE with a Hubbard U)

Data for an optimized crystal structure of MgV4Pb2O12.

```
MgV4Pb2O12
1.0
7.9639 -1.8340 0.0000
7.9639 1.8340 0.0000
-2.7952 0.0000 9.4917
Mg V Pb O
1 4 2 12
Direct
0.0000 0.0000 0.0000
0.1048 0.1048 0.3609
0.3438 0.3438 0.8630
0.6562 0.6562 0.1370
0.8952 0.8952 0.6391
0.3766 0.3766 0.2491
0.6234 0.6234 0.7509
0.0062 0.0062 0.6764
0.1181 0.1181 0.1578
0.1485 0.1485 0.5350
0.2352 0.2352 0.8578
0.3665 0.3665 0.6748
0.4268 0.4268 0.0453
0.5732 0.5732 0.9547
0.6335 0.6335 0.3252
0.7648 0.7648 0.1422
0.8515 0.8515 0.4650
0.8819 0.8819 0.8422
0.9938 0.9938 0.3236
```

**M_tot**: 2.008 Bohr magnetons per cell

<iii>
## MgV4Pb2O12 (PBE with a Hubbard U)

Data for an optimized crystal structure of MgV4Pb2O12.

```
MgV4Pb2O12
1.0
8.2225 -1.8908 0.0000
8.2225 1.8908 0.0000
-3.1707 0.0000 9.8418
Mg V Pb O
1 4 2 12
Direct
0.0000 0.0000 0.0000
0.0564 0.0564 0.3627
0.3721 0.3721 0.6207
0.6234 0.6234 0.1784
0.8080 0.8080 0.8049
0.1061 0.1061 0.7553
0.3362 0.3362 0.2387
0.0925 0.0925 0.1919
0.1066 0.1066 0.5297
0.3056 0.3056 0.7502
0.3214 0.3214 0.4491
0.4788 0.4788 0.6549
0.5444 0.5444 0.0045
0.5757 0.5757 0.3301
0.6926 0.6926 0.7915
0.7317 0.7317 0.1947
0.8647 0.8647 0.6637
0.8779 0.8779 0.9694
0.9490 0.9490 0.3293
```

**M_tot**: 1.924 Bohr magnetons per cell

Preferred: <ii>; penalty for the next structure: 6 meV/atom.

<i>
## MgPb2W2O8 (PBE with a Hubbard U)

Data for an optimized crystal structure of MgPb2W2O8.

```
MgPb2W2O8
1.0
5.3893 0.0000 0.0000
-0.6193 5.4735 0.0000
-2.3421 -2.7009 7.4636
Mg Pb W O
1 2 2 8
Direct
0.0000 0.0000 0.0000
0.3628 0.8594 0.7127
0.6540 0.6525 0.3052
0.1991 0.1987 0.3969
0.8357 0.3353 0.6688
0.0245 0.6635 0.8412
0.0551 0.0864 0.5822
0.2914 0.2638 0.2007
0.4960 0.0154 0.4774
0.5234 0.4933 0.5812
0.8063 0.1712 0.8409
0.9126 0.9350 0.2028
0.9778 0.4585 0.4742
```

**M_tot**: 2.000 Bohr magnetons per cell

<ii>
## MgPb2W2O8 (PBE with a Hubbard U)

Data for an optimized crystal structure of MgPb2W2O8.

```
MgPb2W2O8
1.0
5.2523 0.0000 0.0000
-1.3538 7.0359 0.0000
-1.4227 -3.6594 6.0374
Mg Pb W O
1 2 2 8
Direct
0.0000 0.0000 0.0000
0.2601 0.4812 0.0644
0.3287 0.4968 0.5761
0.0624 0.9203 0.4559
0.5474 0.0394 0.2672
0.0269 0.9539 0.7166
0.1309 0.6244 0.3681
0.1418 0.8372 0.1351
0.3546 0.2641 0.2379
0.4478 0.1160 0.5433
0.6325 0.9901 0.0136
0.6610 0.7782 0.2625
0.9528 0.1901 0.4662
```

**M_tot**: 2.000 Bohr magnetons per cell

Preferred: <i>; penalty for the next structure: 8 meV/atom.

<i>
## MgV2Rh2O8 (PBE with a Hubbard U)

Data for an optimized crystal structure of MgV2Rh2O8.

```
MgV2Rh2O8
1.0
4.9952 -3.2274 0.0000
4.9952 3.2274 0.0000
-3.2953 0.0000 4.8602
Mg V Rh O
1 2 2 8
Direct
0.0000 0.0000 0.0000
0.2968 0.2968 0.5268
0.7041 0.7041 0.2075
0.2515 0.2515 0.9622
0.6773 0.6773 0.6427
0.0140 0.3924 0.6561
0.0195 0.3888 0.2034
0.3888 0.0195 0.2034
0.3924 0.0140 0.6561
0.5105 0.5105 0.7487
0.5227 0.5227 0.2230
0.8301 0.8301 0.0639
0.8649 0.8649 0.5967
```

**M_tot**: 0.000 Bohr magnetons per cell

<ii>
## MgV2Rh2O8 (PBE with a Hubbard U)

Data for an optimized crystal structure of MgV2Rh2O8.

```
MgV2Rh2O8
1.0
5.5808 0.0000 0.0000
-2.3670 5.1014 0.0000
-1.5588 -2.5333 4.8609
Mg V Rh O
1 2 2 8
Direct
0.0000 0.0000 0.0000
0.4886 0.5100 0.4968
0.6990 0.2675 0.9723
0.2615 0.7277 0.9972
0.9895 0.9944 0.4946
0.0568 0.2893 0.3301
0.4422 0.2427 0.6815
0.4606 0.1923 0.1695
0.5434 0.7457 0.3152
0.5471 0.8184 0.8234
0.9292 0.7033 0.6621
0.9627 0.6917 0.1590
0.9988 0.2779 0.8292
```

**M_tot**: 0.208 Bohr magnetons per cell

Preferred: <i>; penalty for the next structure: 20 meV/atom.

<i>
## MgVSb4O12 (PBE with a Hubbard U)

Data for an optimized crystal structure of MgVSb4O12.

```
MgVSb4O12
1.0
5.0984 0.0000 0.0000
0.0688 5.5456 0.0000
0.0106 0.8842 7.8967
Mg V Sb O
1 1 4 12
Direct
0.0000 0.0000 0.0000
0.5097 0.5157 0.9996
0.0203 0.3917 0.2578
0.5017 0.9023 0.2555
0.5169 0.9227 0.6978
0.9936 0.4132 0.6989
0.1715 0.4265 0.4740
0.2008 0.1020 0.7842
0.2108 0.6961 0.1346
0.3100 0.2074 0.1334
0.3111 0.5982 0.7895
0.3429 0.9235 0.4730
0.6500 0.8587 0.9399
0.6734 0.5633 0.2395
0.7038 0.2205 0.6177
0.8097 0.7192 0.6220
0.8433 0.3616 0.9392
0.8480 0.0636 0.2441
```

**M_tot**: 1.984 Bohr magnetons per cell

<ii>
## MgVSb4O12 (PBE with a Hubbard U)

Data for an optimized crystal structure of MgVSb4O12.

```
MgVSb4O12
1.0
5.2649 0.0000 0.0000
-0.0451 5.5976 0.0000
-0.0391 -0.6734 7.7264
Mg V Sb O
1 1 4 12
Direct
0.0000 0.0000 0.0000
0.4954 0.6981 0.9043
0.0088 0.5803 0.2147
0.4847 0.1074 0.6844
0.4999 0.1063 0.2200
0.9938 0.5756 0.6823
0.1259 0.6094 0.9483
0.1561 0.2587 0.6464
0.1761 0.9126 0.2361
0.3241 0.7646 0.6707
0.3312 0.4190 0.2545
0.3789 0.0596 0.9526
0.6327 0.0897 0.4538
0.6724 0.4141 0.7755
0.7043 0.7939 0.1208
0.7852 0.8812 0.7817
0.8150 0.2767 0.1297
0.8673 0.6013 0.4483
```

**M_tot**: 1.597 Bohr magnetons per cell

<iii>
## MgVSb4O12 (PBE with a Hubbard U)

Data for an optimized crystal structure of MgVSb4O12.

```
MgVSb4O12
1.0
5.2482 0.0000 0.0000
-0.0890 5.7057 0.0000
-0.0934 -0.5894 7.6616
Mg V Sb O
1 1 4 12
Direct
0.0000 0.0000 0.0000
0.5200 0.7307 0.4308
0.0052 0.5837 0.2189
0.0205 0.5860 0.7210
0.4978 0.1274 0.2282
0.5067 0.1262 0.7340
0.1645 0.2672 0.1532
0.1677 0.5816 0.4692
0.2069 0.9094 0.7903
0.3100 0.7977 0.1894
0.3211 0.4144 0.7967
0.3990 0.0672 0.4810
0.6447 0.1159 0.9831
0.6812 0.4315 0.3060
0.7033 0.7855 0.6491
0.7854 0.8817 0.2863
0.8254 0.2889 0.6703
0.9031 0.6470 0.9730
```

**M_tot**: 0.404 Bohr magnetons per cell

Preferred: <i>; penalty for the next structure: 21 meV/atom.

<i>
## MgSc2V2O8 (PBE with a Hubbard U)

Data for an optimized crystal structure of MgSc2V2O8.

```
MgSc2V2O8
1.0
4.9346 0.0000 0.0000
-1.0991 4.8452 0.0000
-1.9346 -2.3941 7.1023
Mg Sc V O
1 2 2 8
Direct
0.0000 0.0000 0.0000
0.6739 0.6802 0.3549
0.8351 0.3386 0.6747
0.1938 0.1999 0.3940
0.3333 0.8367 0.6704
0.0576 0.0423 0.5948
0.1485 0.7291 0.8385
0.3175 0.3266 0.2063
0.4667 0.9885 0.4570
0.5321 0.5553 0.5943
0.6866 0.1080 0.8379
0.8837 0.8856 0.2068
0.9849 0.4736 0.4570
```

**M_tot**: 2.000 Bohr magnetons per cell

<ii>
## MgSc2V2O8 (PBE with a Hubbard U)

Data for an optimized crystal structure of MgSc2V2O8.

```
MgSc2V2O8
1.0
3.1814 -4.9384 0.0000
3.1814 4.9384 0.0000
-2.9314 0.0000 5.1007
Mg Sc V O
1 2 2 8
Direct
0.0000 0.0000 0.0000
0.5160 0.4840 0.5000
0.6972 0.3028 0.0000
0.2786 0.7214 0.0000
0.9755 0.0245 0.5000
0.2863 0.5748 0.2227
0.3560 0.1993 0.6682
0.3917 0.1140 0.1533
0.4252 0.7137 0.7773
0.8007 0.6440 0.3318
0.8502 0.1001 0.7402
0.8860 0.6083 0.8467
0.8999 0.1498 0.2598
```

**M_tot**: 0.000 Bohr magnetons per cell

Preferred: <i>; penalty for the next structure: 168 meV/atom.

<i>
## Sr2MgV2Si4O14 (PBE with a Hubbard U)

Data for an optimized crystal structure of Sr2MgV2Si4O14.

```
Sr2MgV2Si4O14
1.0
5.5238 0.0000 0.0000
-0.4081 7.4108 0.0000
-2.7082 -1.8270 7.4078
Sr Mg V Si O
2 1 2 4 14
Direct
0.0000 0.0000 0.0000
0.3199 0.6419 0.6632
0.8701 0.2561 0.7510
0.0134 0.5770 0.1152
0.2710 0.1301 0.5382
0.5292 0.2573 0.0465
0.5355 0.8246 0.1019
0.7145 0.4201 0.4730
0.7840 0.8636 0.5297
0.0916 0.9417 0.6233
0.1578 0.5906 0.3429
0.1718 0.0485 0.3021
0.2385 0.7192 0.0080
0.2402 0.2733 0.9195
0.5362 0.0323 0.0501
0.5408 0.3528 0.5863
0.5915 0.3758 0.2550
0.6397 0.9957 0.6472
0.6591 0.8522 0.3170
0.7159 0.7189 0.9991
0.7617 0.6495 0.5613
0.7692 0.3187 0.9815
0.9871 0.3382 0.5598
```

**M_tot**: 2.001 Bohr magnetons per cell

<ii>
## Sr2MgV2Si4O14 (PBE with a Hubbard U)

Data for an optimized crystal structure of Sr2MgV2Si4O14.

```
Sr2MgV2Si4O14
1.0
7.3813 -2.7719 0.0000
7.3813 2.7719 0.0000
-0.4218 0.0000 7.2757
Sr Mg V Si O
2 1 2 4 14
Direct
0.1940 0.1940 0.2698
0.8060 0.8060 0.7302
0.8761 0.1239 0.0000
0.1295 0.0992 0.7352
0.9008 0.8705 0.2648
0.3745 0.4035 0.9697
0.3971 0.3863 0.5244
0.5965 0.6255 0.0303
0.6137 0.6029 0.4756
0.0181 0.0010 0.2438
0.0951 0.5851 0.0559
0.1076 0.5758 0.4399
0.3592 0.3671 0.7443
0.4149 0.9049 0.9441
0.4242 0.8924 0.5601
0.4742 0.5258 0.0000
0.5019 0.4981 0.5000
0.5973 0.0941 0.4378
0.6250 0.1094 0.0400
0.6329 0.6408 0.2557
0.8906 0.3750 0.9600
0.9059 0.4027 0.5622
0.9990 0.9819 0.7562
```

**M_tot**: 0.002 Bohr magnetons per cell

<iii>
## Sr2MgV2Si4O14 (PBE with a Hubbard U)

Data for an optimized crystal structure of Sr2MgV2Si4O14.

```
Sr2MgV2Si4O14
1.0
7.2898 0.0000 0.0000
0.0000 2.8034 8.5205
0.0000 -2.8034 8.5205
Sr Mg V Si O
2 1 2 4 14
Direct
0.0000 0.0000 0.0000
0.5000 0.2608 0.2608
0.5000 0.4603 0.4603
0.0000 0.2406 0.2406
0.5000 0.0314 0.0314
0.2187 0.5533 0.5533
0.2728 0.7418 0.7418
0.7272 0.7418 0.7418
0.7813 0.5533 0.5533
0.0000 0.1333 0.1333
0.0000 0.5291 0.5291
0.1999 0.0277 0.5238
0.1999 0.5238 0.0277
0.2564 0.6447 0.6447
0.3090 0.2761 0.7315
0.3090 0.7315 0.2761
0.5000 0.1328 0.1328
0.5000 0.7609 0.7609
0.6910 0.2761 0.7315
0.6910 0.7315 0.2761
0.7436 0.6447 0.6447
0.8001 0.0277 0.5238
0.8001 0.5238 0.0277
```

**M_tot**: 0.007 Bohr magnetons per cell

<iv>
## Sr2MgV2Si4O14 (PBE with a Hubbard U)

Data for an optimized crystal structure of Sr2MgV2Si4O14.

```
Sr2MgV2Si4O14
1.0
5.6059 0.0000 0.0000
0.0000 7.3268 0.0000
-2.4645 0.0000 7.3325
Sr Mg V Si O
2 1 2 4 14
Direct
0.0000 0.0000 0.0000
0.3390 0.5000 0.7484
0.4400 0.5000 0.3356
0.2812 0.0000 0.6031
0.9903 0.5000 0.1365
0.5628 0.2193 0.1644
0.5628 0.7807 0.1644
0.7869 0.2737 0.6084
0.7869 0.7263 0.6084
0.0652 0.1857 0.6965
0.0652 0.8143 0.6965
0.1566 0.0000 0.3804
0.1689 0.5000 0.4246
0.2909 0.3167 0.1049
0.2909 0.6833 0.1049
0.5096 0.0000 0.1435
0.5629 0.1855 0.6732
0.5629 0.8145 0.6732
0.6863 0.2815 0.3831
0.6863 0.7185 0.3831
0.7490 0.2760 0.0540
0.7490 0.7240 0.0540
0.7973 0.5000 0.6667
```

**M_tot**: 2.003 Bohr magnetons per cell

Preferred: <ii>; penalty for the next structure: 30 meV/atom.